# 1
The following is a DFT calculation (PBE+U) of a geometry-optimized MnSO6 structure.

Lattice parameters (Å, degrees): 10.729 5.961 9.815 90.00 90.00 90.00
Space group Pnma (No. 62)
Symmetry-distinct sites (fractional):
Mn (0.180, 0.250, 0.056) (multiplicity 4)
S (0.045, 0.250, 0.639) (multiplicity 4)
O (0.085, 0.750, 0.397) (multiplicity 4)
O (0.109, 0.041, 0.656) (multiplicity 8)
O (0.145, 0.250, 0.216) (multiplicity 4)
O (0.152, 0.022, 0.975) (multiplicity 8)

Properties
For the excess energy over the best structure of this formula in the dataset, the calculation gives 0.000 eV per atom. The size of the total moment comes out at 1.00 μB per formula unit. As for the crystal system: orthorhombic.

***

# 2
The following is a DFT calculation (PBE+U) of a geometry-optimized MnS2O8 structure.

Lattice parameters (Å, degrees): 8.2826 8.2826 22.3518 90.00 90.00 120.00
Space group R3 (No. 146, hexagonal axes)
Symmetry-distinct sites (fractional):
Mn (0.0000, 0.0000, 0.0000) (multiplicity 3)
Mn (0.0000, 0.0000, 0.2040) (multiplicity 3)
Mn (0.0000, 0.0000, 0.7080) (multiplicity 3)
S (0.0058, 0.7121, 0.6041) (multiplicity 9)
S (0.0503, 0.3811, 0.7726) (multiplicity 9)
O (0.0497, 0.8365, 0.9486) (multiplicity 9)
O (0.0760, 0.8546, 0.2583) (multiplicity 9)
O (0.0863, 0.8520, 0.5591) (multiplicity 9)
O (0.1310, 0.6796, 0.3308) (multiplicity 9)
O (0.1411, 0.4629, 0.7134) (multiplicity 9)
O (0.1579, 0.4647, 0.4339) (multiplicity 9)
O (0.1837, 0.4248, 0.1198) (multiplicity 9)
O (0.1997, 0.4423, 0.8207) (multiplicity 9)

Properties
For the excess energy over the best structure of this formula in the dataset, the calculation gives 0.012 eV per atom. The size of the total moment comes out at 3.00 μB per formula unit. As for the crystal system: trigonal.

***

# 3
The following is a DFT calculation (PBE+U) of a geometry-optimized MnS2O12 structure.

Lattice parameters (Å, degrees): 9.415 16.263 5.690 90.00 90.00 90.00
Space group Pnma (No. 62)
Symmetry-distinct sites (fractional):
Mn (0.000, 0.000, 0.000) (multiplicity 4)
S (0.241, 0.092, 0.290) (multiplicity 8)
O (0.033, 0.594, 0.154) (multiplicity 8)
O (0.088, 0.063, 0.268) (multiplicity 8)
O (0.092, 0.750, 0.098) (multiplicity 4)
O (0.137, 0.250, 0.943) (multiplicity 4)
O (0.175, 0.512, 0.820) (multiplicity 8)
O (0.213, 0.637, 0.583) (multiplicity 8)
O (0.250, 0.139, 0.513) (multiplicity 8)

Properties
The size of the total moment comes out at 5.00 μB per formula unit. As for the crystal system: orthorhombic. The calculation puts the final energy at -5.271 eV per atom.

***

# 4
The following is a DFT calculation (PBE+U) of a geometry-optimized UMnS2O15 structure.

Lattice parameters (Å, degrees): 6.310 11.524 8.570 90.00 90.45 90.00
Space group P2_1 (No. 4)
Symmetry-distinct sites (fractional):
U (0.003, 0.000, 0.382) (multiplicity 2)
Mn (0.495, 0.148, 0.836) (multiplicity 2)
S (0.004, 0.685, 0.245) (multiplicity 2)
S (0.026, 0.807, 0.738) (multiplicity 2)
O (0.034, 0.132, 0.601) (multiplicity 2)
O (0.041, 0.812, 0.268) (multiplicity 2)
O (0.093, 0.495, 0.878) (multiplicity 2)
O (0.101, 0.851, 0.891) (multiplicity 2)
O (0.103, 0.685, 0.713) (multiplicity 2)
O (0.106, 0.877, 0.606) (multiplicity 2)
O (0.178, 0.166, 0.864) (multiplicity 2)
O (0.186, 0.631, 0.164) (multiplicity 2)
O (0.207, 0.313, 0.246) (multiplicity 2)
O (0.268, 0.471, 0.571) (multiplicity 2)
O (0.272, 0.034, 0.334) (multiplicity 2)
O (0.470, 0.014, 0.799) (multiplicity 2)
O (0.484, 0.699, 0.981) (multiplicity 2)
O (0.485, 0.841, 0.132) (multiplicity 2)
O (0.497, 0.236, 0.675) (multiplicity 2)

Properties
For the excess energy over the best structure of this formula in the dataset, the calculation gives 0.017 eV per atom. The size of the total moment comes out at 7.00 μB per formula unit. As for the crystal system: monoclinic.